Compound: Gd2Al9Ir3
Source: the Materials Project
Functional: PBE-GGA
Structure: relaxed

Cell and atoms, written as POSCAR:
```
Gd2Al9Ir3
1.0
6.5426 -3.8140 0.0000
6.5426 3.8140 0.0000
0.0000 0.0000 9.5163
Gd Al Ir
4 18 6
direct
0.0051 0.6709 0.7500 Gd
0.3291 0.9949 0.7500 Gd
0.6709 0.0051 0.2500 Gd
0.9949 0.3291 0.2500 Gd
0.0008 0.6649 0.0744 Al
0.0008 0.6649 0.4256 Al
0.1287 0.8713 0.2500 Al
0.3332 0.6668 0.5483 Al
0.3332 0.6668 0.9517 Al
0.3351 0.9992 0.0744 Al
0.3351 0.9992 0.4256 Al
0.3394 0.4524 0.2500 Al
0.4524 0.3394 0.7500 Al
0.5476 0.6606 0.2500 Al
0.6606 0.5476 0.7500 Al
0.6649 0.0008 0.5744 Al
0.6649 0.0008 0.9256 Al
0.6668 0.3332 0.0483 Al
0.6668 0.3332 0.4517 Al
0.8713 0.1287 0.7500 Al
0.9992 0.3351 0.5744 Al
0.9992 0.3351 0.9256 Al
0.0000 0.0000 0.0000 Ir
0.0000 0.0000 0.5000 Ir
0.3286 0.3286 0.0000 Ir
0.3286 0.3286 0.5000 Ir
0.6714 0.6714 0.0000 Ir
0.6714 0.6714 0.5000 Ir
```

DFT formation energy: -0.86 eV per atom